Run 1
Density functional theory data (GGA-PBE) for a relaxed structure of Ca2SiO4.

Geometry as extended XYZ:
```
28
Lattice="5.4007 0.0000 0.0000 0.0000 7.0569 -0.1284 0.0000 0.1872 9.8306" Properties=species:S:1:pos:R:3 pbc="T T T"
O 5.1126 1.8284 3.3756
O 4.6162 3.1331 1.1103
Ca 2.7003 0.0000 0.0000
O 2.9884 1.9220 8.2909
Ca 0.0518 1.9178 8.2805
Si 0.0532 5.4427 7.9788
O 3.8457 5.4548 8.4080
O 4.2553 5.3612 3.4928
Si 2.7535 1.8949 6.6386
Ca 2.6485 1.8242 3.3652
Ca 0.0000 0.0936 4.9153
O 0.2880 5.4156 6.3266
Ca 2.7521 5.4199 6.3369
O 1.5549 1.7893 1.2941
Si 5.3475 1.8013 1.7233
Ca 2.7003 3.5284 -0.0642
Ca 5.3489 5.3263 1.4217
O 4.6138 0.4510 1.1540
O 0.7845 4.1110 8.5919
O 1.1454 1.8829 6.2094
O 1.9135 6.6995 3.6328
O 0.7869 6.7931 8.5481
O 2.4123 5.3220 1.4113
O 3.4848 3.2267 6.0256
O 1.9159 4.0174 3.6766
Ca 0.0000 3.6220 4.8511
Si 2.6472 5.3491 3.0636
O 3.4872 0.5446 6.0693
```

Calculated values
V (Å³ per cell): 374.8
Theoretical density (g/cm3): 3.05

Run 2
Density functional theory data (GGA-PBE) for a relaxed structure of Ca2SiO4.

Geometry as extended XYZ:
```
28
Lattice="-2.6720 -1.0559 -4.5639 5.8920 -2.3484 -2.9062 -1.7063 -9.2391 3.1365" Properties=species:S:1:pos:R:3 pbc="T T T"
Ca -1.3360 -0.5279 -2.2820
O 3.6118 -6.2266 -2.9077
O 0.4414 -2.1200 -1.6645
Ca -0.6990 -4.1827 -1.8246
O 0.1487 -7.6020 -2.2698
O 3.2239 -7.9669 -0.3501
O -0.1573 -6.6390 0.3384
O -1.7821 -2.0095 -3.9118
O 1.6710 -6.0044 -4.6720
Ca -2.8754 -9.3252 -2.5165
Si -0.8343 -7.3895 -0.9855
Si 2.3480 -5.2540 -3.3482
O 1.3650 -5.0415 -2.0639
Si 0.1612 -10.4006 -4.0580
O 1.2145 -9.3834 0.7047
Si 1.3525 -2.2429 -0.2757
O -1.7102 -4.6766 -3.9836
O 2.9975 -3.7739 -3.7623
Ca 2.0929 -5.7938 0.1151
O 3.2957 -10.6339 -0.4219
O 1.0723 -10.5234 -2.6691
Ca 1.6100 -1.7022 -3.7351
O 0.2992 -3.2601 -5.0383
O -1.4838 -8.8696 -0.5713
O -2.0981 -6.4168 -1.4260
Ca 4.3891 -3.3183 -1.8172
Ca 2.2127 -8.4607 -2.5090
Ca -0.8532 -4.6196 1.5683
```

Calculated values
V (Å³ per cell): 372.4
Theoretical density (g/cm3): 3.07

Which structure wins on stability? run 1 wins.